Computed, not measured: a relaxed Mg6CuB crystal at the PBE level of DFT.

abc: 3.7091 6.3989 6.3989
angles: 78.49 90.00 90.00
With the nearest neighbours (Å) after each atom.
Fractional positions:
Mg 0.0000 0.0000 0.0000  2 B 2.39
Mg 0.0000 0.0770 0.4354  2 B 2.57
Mg 0.0000 0.4354 0.0770  2 B 2.57
Mg 0.5000 0.2963 0.7312  2 Cu 2.63, 1 B 2.67, 2 Mg 2.95
Mg 0.5000 0.7312 0.2963  2 Cu 2.63, 1 B 2.67, 2 Mg 2.95
Mg 0.5000 0.7669 0.7669  2 Cu 2.64
Cu 0.0000 0.5777 0.5777  6 Mg 2.63-2.64
B 0.5000 0.1524 0.1524  8 Mg 2.39-2.67

Summary:
ΔH_f (0 K) = 0.192 eV/atom
Symmetry = No. 38
Total moment = 0.000 μB per atom
Polymorph energy (0 for the lowest one) = 0.0 meV/atom
Volume = 149 Å³ per cell